Entry 1:
4
Lattice="0.000 3.727 3.727 3.727 0.000 3.727 3.727 3.727 0.000" Properties=species:S:1:pos:R:3 comment="PBE Dy2TlAg, optimized geometry" final_energy_ev_per_atom=-3.9452 formation_enthalpy_0k_ev_per_atom=-0.343 pbc="T T T"
Ag 3.727 3.727 3.727
Dy 5.590 5.590 5.590
Dy 1.863 1.863 1.863
Tl 0.000 0.000 0.000

Entry 2:
8
Lattice="2.276 -3.942 0.000 2.276 3.942 0.000 0.000 0.000 9.054" Properties=species:S:1:pos:R:3 comment="PBE ErSnPt2, optimized geometry" final_energy_ev_per_atom=-6.1890 formation_enthalpy_0k_ev_per_atom=-1.009 pbc="T T T"
Pt 2.276 -1.314 0.814
Pt 2.276 1.314 5.341
Pt 2.276 1.314 8.240
Pt 2.276 -1.314 3.713
Er 2.276 -1.314 6.790
Er 2.276 1.314 2.263
Sn 0.000 0.000 0.000
Sn 0.000 0.000 4.527

Repeat the first record exactly.
4
Lattice="0.000 3.727 3.727 3.727 0.000 3.727 3.727 3.727 0.000" Properties=species:S:1:pos:R:3 comment="PBE Dy2TlAg, optimized geometry" final_energy_ev_per_atom=-3.9452 formation_enthalpy_0k_ev_per_atom=-0.343 pbc="T T T"
Ag 3.727 3.727 3.727
Dy 5.590 5.590 5.590
Dy 1.863 1.863 1.863
Tl 0.000 0.000 0.000